Entry 1:
Below is an optimized crystal structure of MnSiO3, with properties calculated at the PBE with a Hubbard U level.

space-group type	P-1 (2)
ΔE_f	-2502	meV per atom
size of the total moment	0.92	μB/atom

a b c (Å): 6.1898 9.0939 11.6019
angles (deg): 69.90 86.38 84.19
With the nearest neighbours (Å) after each atom.
Sites, in units of the cell vectors:
1 O 0.9170 0.6196 0.3728  1 Si 1.65
2 O 0.1720 0.9969 0.1287  2 Mn 1.88-1.96
3 O 0.1379 0.4301 0.0990  1 Si 1.60
4 O 0.6556 0.3946 0.4650  2 Si 1.70-1.71
5 O 0.3791 0.1810 0.5458  1 Si 1.63
6 O 0.8280 0.0031 0.8713  2 Mn 1.88-1.96
7 O 0.1778 0.8965 0.4116  1 Si 1.61
8 O 0.6796 0.5105 0.2303  2 Si 1.62-1.66
9 O 0.3930 0.1651 0.2347  1 Si 1.65
10 O 0.1616 0.8752 0.7220  1 Si 1.62
11 O 0.0510 0.3470 0.3619  1 Si 1.61
12 O 0.6955 0.0259 0.1182  1 Si 1.70
13 O 0.0204 0.7502 0.0360  1 Si 1.68
14 O 0.5886 0.7853 0.0646  1 Si 1.62
15 O 0.8222 0.1035 0.5884  1 Si 1.61
16 O 0.3528 0.6536 0.9256  2 Si 1.65-1.66
17 O 0.4114 0.2147 0.9354  1 Si 1.62
18 O 0.8384 0.1248 0.2780  1 Si 1.62
19 O 0.6070 0.8349 0.7653  1 Si 1.65
20 O 0.5944 0.2975 0.6962  2 Si 1.68-1.70
21 O 0.6472 0.3464 0.0744  2 Si 1.65-1.66
22 O 0.3204 0.4895 0.7697  2 Si 1.62-1.66
23 O 0.3045 0.9741 0.8818  1 Si 1.70
24 O 0.9796 0.2498 0.9640  1 Si 1.68
25 O 0.6209 0.8190 0.4542  1 Si 1.63
26 O 0.8621 0.5699 0.9010  1 Si 1.60
27 O 0.0830 0.3804 0.6272  1 Si 1.65
28 O 0.3444 0.6054 0.5350  2 Si 1.70-1.71
29 O 0.4056 0.7025 0.3038  2 Si 1.68-1.70
30 O 0.9490 0.6530 0.6381  1 Si 1.61
31 Si 0.4809 0.6504 0.1788  3 O 1.62-1.70
32 Si 0.6099 0.2248 0.5807  4 O 1.61-1.70
33 Si 0.6463 0.1706 0.1802  4 O 1.62-1.70
34 Si 0.5191 0.3496 0.8212  3 O 1.62-1.70
35 Si 0.3537 0.8294 0.8198  4 O 1.62-1.70
36 Si 0.3901 0.7752 0.4193  4 O 1.61-1.70
37 Si 0.8362 0.4676 0.3459  4 O 1.61-1.71
38 Si 0.2170 0.6030 0.0591  3 O 1.60-1.68
39 Si 0.1638 0.5324 0.6541  4 O 1.61-1.71
40 Si 0.7830 0.3970 0.9409  3 O 1.60-1.68
41 Mn 0.7961 0.8732 0.6024  3 O 2.04-2.10
42 Mn 0.1742 0.2212 0.1024  4 O 1.88-2.01
43 Mn 0.2546 0.4440 0.4433  3 O 2.05-2.24
44 Mn 0.7454 0.5560 0.5567  3 O 2.05-2.24
45 Mn 0.5000 0.0000 0.0000  4 O 1.87-1.97
46 Mn 0.0000 0.0000 0.0000  2 O 1.88
47 Mn 0.9200 0.8829 0.2977  3 O 2.14-2.25
48 Mn 0.8258 0.7788 0.8976  4 O 1.88-2.01
49 Mn 0.0800 0.1171 0.7023  3 O 2.14-2.25
50 Mn 0.2039 0.1268 0.3976  3 O 2.04-2.10

=====

Entry 2:
Below is an optimized crystal structure of Sr2NdFe3O9, with properties calculated at the PBE with a Hubbard U level.

space-group type	C2/c (15)
ΔE_f	-2411	meV per atom
size of the total moment	0.87	μB/atom

a b c (Å): 5.5397 5.5397 13.4906
angles (deg): 89.98 89.98 60.45
With the nearest neighbours (Å) after each atom.
Sites, in units of the cell vectors:
1 O 0.0139 0.5343 0.2560  2 Fe 1.97-1.99
2 O 0.6550 0.1521 0.0793  2 Fe 1.95-1.98
3 O 0.8266 0.3072 0.9058  2 Fe 1.95-1.98
4 O 0.3072 0.8266 0.4058  2 Fe 1.95-1.98
5 O 0.7945 0.8814 0.4114  2 Fe 1.96-1.97
6 O 0.6928 0.1734 0.5942  2 Fe 1.95-1.98
7 O 0.1521 0.6550 0.5793  2 Fe 1.95-1.98
8 O 0.5581 0.4419 0.2500  2 Fe 1.99
9 O 0.8479 0.3450 0.4207  2 Fe 1.95-1.98
10 O 0.9861 0.4657 0.7440  2 Fe 1.97-1.99
11 O 0.4419 0.5581 0.7500  2 Fe 1.99
12 O 0.2055 0.1186 0.5886  2 Fe 1.96-1.97
13 O 0.1186 0.2055 0.0886  2 Fe 1.96-1.97
14 O 0.5343 0.0139 0.7560  2 Fe 1.97-1.99
15 O 0.8814 0.7945 0.9114  2 Fe 1.96-1.97
16 O 0.4657 0.9861 0.2440  2 Fe 1.97-1.99
17 O 0.1734 0.6928 0.0942  2 Fe 1.95-1.98
18 O 0.3450 0.8479 0.9207  2 Fe 1.95-1.98
19 Sr 0.3306 0.3358 0.4167  7 O 2.56-2.85
20 Sr 0.3358 0.3306 0.9167  7 O 2.56-2.85
21 Sr 0.6694 0.6642 0.5833  7 O 2.56-2.85
22 Sr 0.6642 0.6694 0.0833  7 O 2.56-2.85
23 Fe 0.0000 0.0000 0.0000  6 O 1.95-1.98
24 Fe 0.0000 0.0000 0.5000  6 O 1.95-1.98
25 Fe 0.3328 0.3339 0.1659  6 O 1.95-1.99
26 Fe 0.3339 0.3328 0.6659  6 O 1.95-1.99
27 Fe 0.6672 0.6661 0.8341  6 O 1.95-1.99
28 Fe 0.6661 0.6672 0.3341  6 O 1.95-1.99
29 Nd 0.9997 0.0003 0.7500  7 O 2.47-2.68
30 Nd 0.0003 0.9997 0.2500  7 O 2.47-2.68

=====

Entry 3:
Below is an optimized crystal structure of Mn20O43, with properties calculated at the PBE with a Hubbard U level.

space-group type	P-1 (2)
ΔE_f	-1588	meV per atom
size of the total moment	0.99	μB/atom

a b c (Å): 8.2974 10.1539 10.1583
angles (deg): 87.82 112.37 112.33
With the nearest neighbours (Å) after each atom.
Sites, in units of the cell vectors:
1 O 0.0000 0.5000 0.5000  8 O 2.94-2.95
2 O 0.2933 0.7987 0.1778  3 Mn 1.92-1.94
3 O 0.7072 0.6016 0.2231  3 Mn 1.92-1.93
4 O 0.2938 0.1978 0.5780  3 Mn 1.92-1.93
5 O 0.0478 0.5943 0.2349  3 Mn 1.95-1.96
6 O 0.7067 0.2013 0.8222  3 Mn 1.92-1.94
7 O 0.0476 0.3946 0.0344  3 Mn 1.95-1.96
8 O 0.2928 0.3984 0.7769  3 Mn 1.92-1.93
9 O 0.9524 0.6054 0.9656  3 Mn 1.95-1.96
10 O 0.6207 0.4398 0.7325  3 Mn 1.92-1.94
11 O 0.6198 0.2380 0.5327  3 Mn 1.91-1.93
12 O 0.3793 0.5602 0.2675  3 Mn 1.92-1.94
13 O 0.7070 0.0013 0.6228  3 Mn 1.92-1.93
14 O 0.9522 0.4057 0.7651  3 Mn 1.95-1.96
15 O 0.7062 0.8022 0.4220  3 Mn 1.92-1.93
16 O 0.3610 0.0841 0.1328  3 Mn 1.95-1.96
17 O 0.0475 0.1949 0.8340  3 Mn 1.95
18 O 0.9528 0.0063 0.3660  3 Mn 1.95
19 O 0.9999 0.0971 0.0970  9 O 2.84-2.97
20 O 0.7059 0.4016 0.0220  3 Mn 1.92-1.93
21 O 0.3600 0.4842 0.5321  3 Mn 1.95-1.96
22 O 0.6400 0.1157 0.0676  3 Mn 1.95-1.96
23 O 0.3603 0.2837 0.3321  3 Mn 1.95-1.96
24 O 0.3802 0.7620 0.4673  3 Mn 1.91-1.93
25 O 0.6400 0.5158 0.4679  3 Mn 1.95-1.96
26 O 0.6397 0.7163 0.6679  3 Mn 1.95-1.96
27 O 0.3799 0.9611 0.6662  3 Mn 1.91-1.93
28 O 0.6201 0.0389 0.3338  3 Mn 1.91-1.93
29 O 0.3600 0.6848 0.7319  3 Mn 1.95
30 O 0.9528 0.2062 0.5656  3 Mn 1.95-1.96
31 O 0.3802 0.3609 0.0670  3 Mn 1.92-1.94
32 O 0.3600 0.8843 0.9324  3 Mn 1.95-1.96
33 O 0.6400 0.3152 0.2681  3 Mn 1.95
34 O 0.6390 0.9159 0.8672  3 Mn 1.95-1.96
35 O 0.0472 0.9937 0.6340  3 Mn 1.95
36 O 0.2930 0.9987 0.3772  3 Mn 1.92-1.93
37 O 0.0001 0.9029 0.9030  9 O 2.84-2.97
38 O 0.2941 0.5984 0.9780  3 Mn 1.92-1.93
39 O 0.9525 0.8051 0.1660  3 Mn 1.95
40 O 0.6198 0.6391 0.9330  3 Mn 1.92-1.94
41 O 0.0472 0.7938 0.4344  3 Mn 1.95-1.96
42 O 0.3798 0.1611 0.8672  3 Mn 1.91-1.93
43 O 0.6202 0.8389 0.1328  3 Mn 1.91-1.93
44 Mn 0.1823 0.5968 0.1124  6 O 1.92-1.96
45 Mn 0.8180 0.2029 0.6875  6 O 1.92-1.95
46 Mn 0.5153 0.4455 0.2633  6 O 1.92-1.96
47 Mn 0.8177 0.4032 0.8876  6 O 1.92-1.96
48 Mn 0.4853 0.9543 0.1370  6 O 1.91-1.96
49 Mn 0.5159 0.6464 0.4636  6 O 1.92-1.96
50 Mn 0.1816 0.9966 0.5123  6 O 1.92-1.95
51 Mn 0.5156 0.2455 0.0634  6 O 1.91-1.96
52 Mn 0.1820 0.3966 0.9124  6 O 1.92-1.96
53 Mn 0.4844 0.7545 0.9366  6 O 1.91-1.96
54 Mn 0.5152 0.8461 0.6633  6 O 1.91-1.95
55 Mn 0.1820 0.7971 0.3125  6 O 1.92-1.95
56 Mn 0.5147 0.0457 0.8630  6 O 1.91-1.96
57 Mn 0.1820 0.1963 0.7127  6 O 1.92-1.96
58 Mn 0.8180 0.8037 0.2873  6 O 1.92-1.96
59 Mn 0.4841 0.3536 0.5364  6 O 1.92-1.96
60 Mn 0.4847 0.5545 0.7367  6 O 1.92-1.96
61 Mn 0.8180 0.6034 0.0876  6 O 1.92-1.96
62 Mn 0.8184 0.0034 0.4877  6 O 1.92-1.95
63 Mn 0.4848 0.1539 0.3367  6 O 1.91-1.95

=====

Entry 4:
Below is an optimized crystal structure of Cs6Fe2O5, with properties calculated at the PBE with a Hubbard U level.

ΔE_f	-1408	meV per atom
size of the total moment	0.00	μB/atom
E above lowest polymorph	0.000	eV per atom

a b c (Å): 7.3209 14.9409 7.3208
angles (deg): 92.66 117.83 92.66
With the nearest neighbours (Å) after each atom.
Sites, in units of the cell vectors:
1 Cs 0.2132 0.0000 0.7868  4 O 2.92-3.11
2 Cs 0.2132 0.5000 0.7868  4 O 2.92-3.11
3 Cs 0.3559 0.5942 0.3559  2 O 3.07, 1 Fe 3.43
4 Cs 0.2417 0.7500 0.7583  5 O 3.03-3.23
5 Cs 0.3559 0.0942 0.3559  2 O 3.07, 1 Fe 3.43
6 Cs 0.6441 0.4058 0.6441  2 O 3.07, 1 Fe 3.43
7 Cs 0.7868 0.5000 0.2132  4 O 2.92-3.11
8 Cs 0.6441 0.9058 0.6441  2 O 3.07, 1 Fe 3.43
9 Cs 0.7868 0.0000 0.2132  4 O 2.92-3.11
10 Cs 0.7583 0.2500 0.2417  5 O 3.03-3.23
11 Cs 0.2417 0.2500 0.7583  5 O 3.03-3.23
12 Cs 0.7583 0.7500 0.2417  5 O 3.03-3.23
13 O 0.1678 0.3875 0.4293  1 Fe 1.91
14 O 0.8322 0.1125 0.5707  1 Fe 1.91
15 O 0.4293 0.3875 0.1678  1 Fe 1.91
16 O 0.0000 0.7500 0.0000  2 Fe 1.94
17 O 0.0000 0.2500 0.0000  2 Fe 1.94
18 O 0.5707 0.6125 0.8322  1 Fe 1.91
19 O 0.8322 0.6125 0.5707  1 Fe 1.91
20 O 0.5707 0.1124 0.8322  1 Fe 1.91
21 O 0.4293 0.8875 0.1678  1 Fe 1.91
22 O 0.1678 0.8875 0.4293  1 Fe 1.91
23 Fe 0.1964 0.3426 0.1964  3 O 1.91-1.94
24 Fe 0.8035 0.1573 0.8035  3 O 1.91-1.94
25 Fe 0.8036 0.6574 0.8035  3 O 1.91-1.94
26 Fe 0.1965 0.8427 0.1965  3 O 1.91-1.94

=====

Entry 5:
Below is an optimized crystal structure of MgMo2HO6, with properties calculated at the PBE with a Hubbard U level.

space-group type	Cm (8)
ΔE_f	-2014	meV per atom
size of the total moment	0.30	μB/atom
E above lowest polymorph	0.013	eV per atom

a b c (Å): 7.9959 7.9959 4.0159
angles (deg): 89.06 89.06 28.12
With the nearest neighbours (Å) after each atom.
Sites, in units of the cell vectors:
1 O 0.7736 0.7736 0.7975  1 H 0.98
2 O 0.0567 0.0567 0.7289  3 Mo 2.01-2.17
3 O 0.9406 0.9406 0.2356  3 Mo 1.97-2.15
4 O 0.3884 0.3884 0.7001  2 Mo 2.01, 1 Mg 2.08
5 O 0.2046 0.2046 0.2301  1 Mo 1.94, 1 Mg 2.05
6 O 0.5728 0.5728 0.2195  2 Mo 1.95
7 H 0.7532 0.7532 0.0308  1 O 0.98
8 Mo 0.9168 0.9168 0.7546  5 O 1.97-2.17
9 Mo 0.0795 0.0795 0.2342  6 O 1.94-2.15
10 Mg 0.2543 0.2543 0.6999  4 O 2.01-2.08